The following is a PBE+U calculation of MnWO4 after structural relaxation, from Materials Project.

E_form   -2.15 eV per atom

Cell: 5.490 5.491 6.218 Å, 90.00 63.80 90.00°
Element x y z (fractional)
O 0.172 0.750 0.155
O 0.328 0.250 0.845
O 0.828 0.750 0.845
O 0.261 0.500 0.478
O 0.239 0.000 0.522
O 0.761 0.000 0.478
O 0.739 0.500 0.522
O 0.672 0.250 0.155
W 0.000 0.750 0.500
W 0.500 0.250 0.500
Mn 0.000 0.000 0.000
Mn 0.500 0.500 0.000